Material: Li3Mn3O5F3
Method: DFT, PBE+U
State: relaxed

a = 5.818 Å, b = 5.906 Å, c = 5.988 Å
α = 92.75°, β = 119.07°, γ = 117.11°
Space group P1 (No. 1)
Symmetry-distinct sites (fractional):
Li1 0.000 0.000 0.000
Li2 0.232 0.597 0.875
Li3 0.487 0.208 0.753
Mn1 0.240 0.603 0.380
Mn2 0.741 0.107 0.386
Mn3 0.741 0.591 0.393
O1 0.189 0.806 0.589
O2 0.293 0.401 0.169
O3 0.710 0.850 0.582
O4 0.749 0.364 0.601
O5 0.771 0.354 0.182
F1 0.235 0.845 0.110
F2 0.249 0.358 0.645
F3 0.734 0.848 0.148

Results
largest piezoelectric modulus: 0.28 C/m2
formation energy from the elements: -2393 meV per atom
crystal system: triclinic
energy relative to the lowest polymorph listed for this composition: 0.0 meV per atom